one.
Compound: Ba2Y5Cl19
Source: the Materials Project database
Functional: PBE-GGA
Structure: relaxed

Total moment ... 0.05 μB/f.u.

a = 7.4477 Å, b = 9.3934 Å, c = 31.1222 Å
α = 90.00°, β = 102.82°, γ = 90.00°
With the nearest neighbours (Å) after each atom.
Fractional positions:
Ba: 0.1871 0.0192 0.2067  4 Cl 2.94-2.97
Ba: 0.1871 0.4808 0.7067  4 Cl 2.94-2.97
Ba: 0.8129 0.5192 0.2933  4 Cl 2.94-2.97
Ba: 0.8129 0.9808 0.7933  4 Cl 2.94-2.97
Y: 0.0711 0.6675 0.0691  6 Cl 2.60-2.68
Y: 0.0711 0.8325 0.5691  6 Cl 2.60-2.68
Y: 0.3763 0.6407 0.8641  6 Cl 2.62-2.70
Y: 0.3763 0.8593 0.3641  6 Cl 2.62-2.70
Y: 0.5000 0.0000 0.0000  6 Cl 2.65-2.69
Y: 0.5000 0.5000 0.5000  6 Cl 2.65-2.69
Y: 0.6237 0.1407 0.6359  6 Cl 2.62-2.70
Y: 0.6237 0.3593 0.1359  6 Cl 2.62-2.70
Y: 0.9289 0.1675 0.4309  6 Cl 2.60-2.68
Y: 0.9289 0.3325 0.9309  6 Cl 2.60-2.68
Cl: 0.0000 0.0000 0.5000  2 Y 2.62
Cl: 0.0000 0.5000 0.0000  2 Y 2.62
Cl: 0.1016 0.5359 0.8960  2 Y 2.65-2.66
Cl: 0.1016 0.9641 0.3960  2 Y 2.65-2.66
Cl: 0.1597 0.7317 0.6488  1 Y 2.60
Cl: 0.1597 0.7683 0.1488  1 Y 2.60
Cl: 0.1614 0.6848 0.3071  1 Y 2.67, 1 Ba 2.97
Cl: 0.1614 0.8152 0.8071  1 Y 2.67, 1 Ba 2.97
Cl: 0.2358 0.1780 0.9582  2 Y 2.68-2.69
Cl: 0.2358 0.3220 0.4582  2 Y 2.68-2.69
Cl: 0.2469 0.6290 0.5345  2 Y 2.66-2.68
Cl: 0.2469 0.8710 0.0345  2 Y 2.66-2.68
Cl: 0.3196 0.0586 0.3031  1 Y 2.63
Cl: 0.3196 0.4414 0.8031  1 Y 2.63
Cl: 0.3522 0.2435 0.6676  1 Y 2.62
Cl: 0.3522 0.2565 0.1676  1 Y 2.62
Cl: 0.3932 0.5324 0.0843  2 Y 2.64-2.66
Cl: 0.3932 0.9676 0.5843  2 Y 2.64-2.66
Cl: 0.4231 0.6625 0.4287  2 Y 2.65-2.70
Cl: 0.4231 0.8375 0.9287  2 Y 2.65-2.70
Cl: 0.5769 0.1625 0.0713  2 Y 2.65-2.70
Cl: 0.5769 0.3375 0.5713  2 Y 2.65-2.70
Cl: 0.6068 0.0324 0.4157  2 Y 2.64-2.66
Cl: 0.6068 0.4676 0.9157  2 Y 2.64-2.66
Cl: 0.6478 0.7435 0.8324  1 Y 2.62
Cl: 0.6478 0.7565 0.3324  1 Y 2.62
Cl: 0.6804 0.5586 0.1969  1 Y 2.63
Cl: 0.6804 0.9414 0.6969  1 Y 2.63
Cl: 0.7531 0.1290 0.9655  2 Y 2.66-2.68
Cl: 0.7531 0.3710 0.4655  2 Y 2.66-2.68
Cl: 0.7642 0.6780 0.5418  2 Y 2.68-2.69
Cl: 0.7642 0.8220 0.0418  2 Y 2.68-2.69
Cl: 0.8386 0.1848 0.1929  1 Y 2.67, 1 Ba 2.97
Cl: 0.8386 0.3152 0.6929  1 Y 2.67, 1 Ba 2.97
Cl: 0.8403 0.2317 0.8512  1 Y 2.60
Cl: 0.8403 0.2683 0.3512  1 Y 2.60
Cl: 0.8984 0.0359 0.6040  2 Y 2.65-2.66
Cl: 0.8984 0.4641 0.1040  2 Y 2.65-2.66

=====

two.
Compound: Ba2Y5Cl19
Source: the Materials Project database
Functional: PBE-GGA
Structure: relaxed

Total moment ... 0.01 μB/f.u.

a = 9.1965 Å, b = 7.4374 Å, c = 29.7573 Å
α = 90.00°, β = 96.00°, γ = 90.00°
With the nearest neighbours (Å) after each atom.
Fractional positions:
Ba: 0.2279 0.0000 0.2428  4 Cl 2.97-3.03
Ba: 0.2445 0.0758 0.6745  4 Cl 2.97-3.01
Ba: 0.7555 0.5758 0.3255  4 Cl 2.97-3.01
Ba: 0.7721 0.5000 0.7572  4 Cl 2.97-3.03
Y: 0.1469 0.0206 0.8265  6 Cl 2.62-2.70
Y: 0.1654 0.5481 0.4701  6 Cl 2.61-2.69
Y: 0.1770 0.5291 0.0391  6 Cl 2.63-2.68
Y: 0.4321 0.0562 0.3959  6 Cl 2.63-2.70
Y: 0.4604 0.5358 0.8965  6 Cl 2.61-2.67
Y: 0.5396 0.0358 0.1035  6 Cl 2.61-2.67
Y: 0.5679 0.5562 0.6041  6 Cl 2.63-2.70
Y: 0.8230 0.0291 0.9609  6 Cl 2.63-2.68
Y: 0.8346 0.0481 0.5299  6 Cl 2.61-2.69
Y: 0.8531 0.5206 0.1735  6 Cl 2.62-2.70
Cl: 0.0212 0.5299 0.3901  1 Y 2.61
Cl: 0.0224 0.6812 0.2415  1 Y 2.70
Cl: 0.0286 0.8118 0.0022  2 Y 2.68
Cl: 0.0305 0.7198 0.7930  1 Y 2.63
Cl: 0.0367 0.8503 0.4933  2 Y 2.66-2.69
Cl: 0.0607 0.5457 0.1169  2 Y 2.65-2.68
Cl: 0.1903 0.0550 0.3401  1 Y 2.63
Cl: 0.2332 0.3366 0.8630  2 Y 2.67
Cl: 0.3024 0.2394 0.4566  2 Y 2.64-2.67
Cl: 0.3068 0.2316 0.0737  2 Y 2.66-2.67
Cl: 0.3123 0.8437 0.8896  2 Y 2.64-2.66
Cl: 0.3136 0.5451 0.5521  2 Y 2.67
Cl: 0.3523 0.0156 0.7717  1 Y 2.62
Cl: 0.3595 0.5074 0.9770  2 Y 2.63-2.67
Cl: 0.3697 0.7410 0.4341  2 Y 2.68-2.69
Cl: 0.3753 0.7470 0.0834  2 Y 2.66-2.68
Cl: 0.4398 0.3993 0.6716  1 Y 2.70, 1 Ba 3.01
Cl: 0.4722 0.0551 0.1864  1 Y 2.61
Cl: 0.4793 0.8575 0.6389  1 Y 2.63
Cl: 0.5207 0.3575 0.3611  1 Y 2.63
Cl: 0.5278 0.5551 0.8136  1 Y 2.61
Cl: 0.5602 0.8993 0.3284  1 Y 2.70, 1 Ba 3.01
Cl: 0.6247 0.2470 0.9166  2 Y 2.66-2.68
Cl: 0.6303 0.2410 0.5659  2 Y 2.68-2.69
Cl: 0.6405 0.0074 0.0230  2 Y 2.63-2.67
Cl: 0.6477 0.5156 0.2283  1 Y 2.62
Cl: 0.6864 0.0451 0.4479  2 Y 2.67
Cl: 0.6877 0.3437 0.1104  2 Y 2.64-2.66
Cl: 0.6932 0.7316 0.9263  2 Y 2.66-2.67
Cl: 0.6976 0.7394 0.5434  2 Y 2.64-2.67
Cl: 0.7668 0.8366 0.1370  2 Y 2.67
Cl: 0.8097 0.5550 0.6599  1 Y 2.63
Cl: 0.9393 0.0457 0.8831  2 Y 2.65-2.68
Cl: 0.9633 0.3503 0.5067  2 Y 2.66-2.69
Cl: 0.9695 0.2198 0.2070  1 Y 2.63
Cl: 0.9714 0.3118 0.9978  2 Y 2.68
Cl: 0.9776 0.1812 0.7585  1 Y 2.70
Cl: 0.9788 0.0299 0.6099  1 Y 2.61

=====

two (1.5 kJ/mol of atoms below the next structure)

=====

one.
Compound: K3UC5O17
Source: the Materials Project database
Functional: PBE-GGA
Structure: relaxed

Total moment ... 5.00 μB/f.u.

a = 10.1844 Å, b = 10.3331 Å, c = 10.7222 Å
α = 96.31°, β = 105.92°, γ = 116.39°
With the nearest neighbours (Å) after each atom.
Fractional positions:
K: 0.0682 0.0435 0.3483  6 O 2.80-2.98
K: 0.1872 0.4549 0.5965  3 O 2.66-2.71
K: 0.3378 0.7232 0.0498  3 O 2.60-2.68
K: 0.6622 0.2768 0.9502  3 O 2.60-2.68
K: 0.8128 0.5451 0.4035  3 O 2.66-2.71
K: 0.9318 0.9565 0.6517  6 O 2.80-2.98
U: 0.4694 0.1440 0.2577  2 O 1.82-1.85
U: 0.5306 0.8560 0.7423  2 O 1.82-1.85
C: 0.1804 0.1066 0.0012  2 O 1.24-1.30
C: 0.1924 0.9635 0.9564  2 O 1.24-1.30
C: 0.2089 0.8542 0.5614  2 O 1.25-1.29
C: 0.3092 0.0140 0.6614  2 O 1.24-1.30
C: 0.4480 0.4155 0.4576  2 O 1.24-1.29
C: 0.5520 0.5845 0.5424  2 O 1.24-1.29
C: 0.6908 0.9860 0.3386  2 O 1.24-1.30
C: 0.7911 0.1458 0.4386  2 O 1.25-1.29
C: 0.8076 0.0365 0.0436  2 O 1.24-1.30
C: 0.8196 0.8934 0.9988  2 O 1.24-1.30
O: 0.0157 0.4506 0.9824  1 O 1.25
O: 0.0486 0.4758 0.2939  1 O 1.23
O: 0.0719 0.8122 0.4851  1 C 1.25
O: 0.0936 0.1384 0.9213  1 C 1.24
O: 0.1072 0.8726 0.8448  1 C 1.24
O: 0.1728 0.5490 0.2762  1 O 1.23
O: 0.2603 0.1044 0.6560  1 C 1.24
O: 0.2710 0.1809 0.1254  1 C 1.30
O: 0.2782 0.7753 0.5692  1 C 1.29
O: 0.3012 0.9569 0.0489  1 C 1.30
O: 0.3098 0.3429 0.4513  1 C 1.24
O: 0.3455 0.0361 0.3443  1 U 1.82
O: 0.4028 0.7384 0.8252  1 U 1.85
O: 0.4174 0.4309 0.8378  1 O 1.24
O: 0.4405 0.0357 0.7466  1 C 1.30
O: 0.4454 0.5231 0.1546  1 O 1.24
O: 0.4807 0.6331 0.6005  1 C 1.29
O: 0.5193 0.3669 0.3995  1 C 1.29
O: 0.5546 0.4769 0.8454  1 O 1.24
O: 0.5595 0.9643 0.2534  1 C 1.30
O: 0.5826 0.5691 0.1622  1 O 1.24
O: 0.5972 0.2616 0.1748  1 U 1.85
O: 0.6545 0.9639 0.6557  1 U 1.82
O: 0.6902 0.6571 0.5487  1 C 1.24
O: 0.6988 0.0431 0.9511  1 C 1.30
O: 0.7218 0.2247 0.4308  1 C 1.29
O: 0.7290 0.8191 0.8746  1 C 1.30
O: 0.7397 0.8956 0.3440  1 C 1.24
O: 0.8272 0.4510 0.7238  1 O 1.23
O: 0.8928 0.1274 0.1552  1 C 1.24
O: 0.9064 0.8616 0.0787  1 C 1.24
O: 0.9281 0.1878 0.5149  1 C 1.25
O: 0.9514 0.5242 0.7061  1 O 1.23
O: 0.9843 0.5494 0.0176  1 O 1.25

=====

two.
Compound: K3UC5O17
Source: the Materials Project database
Functional: PBE-GGA
Structure: relaxed

Total moment ... 6.00 μB/f.u.

a = 10.0103 Å, b = 10.1540 Å, c = 10.3850 Å
α = 96.54°, β = 105.02°, γ = 115.33°
With the nearest neighbours (Å) after each atom.
Fractional positions:
K: 0.0740 0.0489 0.3565  8 O 2.76-3.03
K: 0.1811 0.4557 0.6008  3 O 2.67-2.72
K: 0.2565 0.6709 0.0261  5 O 2.66-2.98
K: 0.7435 0.3291 0.9739  5 O 2.66-2.98
K: 0.8189 0.5443 0.3992  3 O 2.67-2.72
K: 0.9260 0.9511 0.6435  8 O 2.76-3.03
U: 0.4725 0.1376 0.2586  2 O 1.82-1.84
U: 0.5275 0.8624 0.7414  2 O 1.82-1.84
C: 0.1740 0.1107 0.0005  2 O 1.24-1.27
C: 0.1847 0.9545 0.9522  2 O 1.23-1.28
C: 0.2077 0.8597 0.5590  2 O 1.25-1.29
C: 0.3053 0.0211 0.6601  2 O 1.24-1.30
C: 0.4481 0.4164 0.4546  2 O 1.24-1.29
C: 0.5519 0.5836 0.5454  2 O 1.24-1.29
C: 0.6947 0.9789 0.3399  2 O 1.24-1.30
C: 0.7923 0.1403 0.4410  2 O 1.25-1.29
C: 0.8153 0.0455 0.0478  2 O 1.23-1.28
C: 0.8260 0.8893 0.9995  2 O 1.24-1.27
O: 0.0276 0.3669 0.9097  3 O 2.64-2.84, 1 K 2.81
O: 0.0496 0.4785 0.2842  1 O 1.24
O: 0.0706 0.8169 0.4823  1 C 1.25
O: 0.0809 0.1336 0.9139  1 C 1.24
O: 0.0987 0.8669 0.8387  1 C 1.23
O: 0.1742 0.5568 0.2664  1 O 1.24
O: 0.2509 0.1100 0.6546  1 C 1.24
O: 0.2658 0.1846 0.1224  1 C 1.27
O: 0.2800 0.7802 0.5677  1 C 1.29
O: 0.2903 0.9480 0.0475  1 C 1.28
O: 0.3090 0.3450 0.4471  1 C 1.24
O: 0.3514 0.0392 0.3553  1 U 1.82
O: 0.4060 0.7544 0.8360  1 U 1.84
O: 0.4111 0.4164 0.8365  1 O 1.23
O: 0.4380 0.0436 0.7453  1 C 1.30
O: 0.4487 0.5306 0.1507  1 O 1.23
O: 0.4790 0.6327 0.6073  1 C 1.29
O: 0.5210 0.3673 0.3927  1 C 1.29
O: 0.5513 0.4694 0.8493  1 O 1.23
O: 0.5620 0.9564 0.2547  1 C 1.30
O: 0.5889 0.5836 0.1635  1 O 1.23
O: 0.5940 0.2456 0.1640  1 U 1.84
O: 0.6486 0.9608 0.6447  1 U 1.82
O: 0.6910 0.6550 0.5529  1 C 1.24
O: 0.7097 0.0520 0.9525  1 C 1.28
O: 0.7200 0.2198 0.4323  1 C 1.29
O: 0.7342 0.8154 0.8776  1 C 1.27
O: 0.7491 0.8900 0.3454  1 C 1.24
O: 0.8258 0.4432 0.7336  1 O 1.24
O: 0.9013 0.1331 0.1613  1 C 1.23
O: 0.9191 0.8664 0.0861  1 C 1.24
O: 0.9294 0.1831 0.5177  1 C 1.25
O: 0.9504 0.5215 0.7158  1 O 1.24
O: 0.9724 0.6331 0.0903  3 O 2.64-2.84, 1 K 2.81

=====

one (9.1 kJ/mol of atoms below the next structure)